VASP calculation (PBE+U) on an optimized crystal structure of Li3VH16O12.

Structure (POSCAR):
```
Li3VH16O12
1.0
5.983 0.000 0.000
0.089 6.516 0.000
0.082 0.061 7.337
H O V Li
16 12 1 3
direct
0.550 0.119 0.981 H
0.617 0.151 0.266 H
0.114 0.979 0.601 H
0.352 0.047 0.109 H
0.051 0.195 0.018 H
0.750 0.801 0.635 H
0.498 0.407 0.832 H
0.112 0.210 0.674 H
0.354 0.583 0.312 H
0.043 0.612 0.455 H
0.007 0.605 0.235 H
0.545 0.699 0.417 H
0.500 0.758 0.711 H
0.013 0.962 0.090 H
0.747 0.314 0.808 H
0.620 0.374 0.352 H
0.077 0.098 0.123 O
0.518 0.030 0.091 O
0.933 0.719 0.034 O
0.584 0.277 0.802 O
0.168 0.121 0.570 O
0.014 0.746 0.651 O
0.375 0.633 0.882 O
0.586 0.830 0.611 O
0.518 0.612 0.307 O
0.671 0.229 0.375 O
0.077 0.531 0.341 O
0.015 0.356 0.836 O
0.086 0.615 0.852 V
0.502 0.120 0.585 Li
0.004 0.233 0.356 Li
0.600 0.733 0.064 Li
```

The energy with MP2020 corrections is -5.5958 eV/atom. Its formation energy is -1581 meV per atom. For the spin magnetization, the calculation gives 0.00 μB/f.u. The excess energy over the best structure of this formula in the dataset is 0 meV per atom. The total energy comes out at -5.29 eV/atom.

---

VASP calculation (PBE+U) on an optimized crystal structure of CrGeO3.

Structure (POSCAR):
```
CrGeO3
1.0
-1.717 -2.125 -2.559
-0.662 -2.604 2.606
-3.260 1.648 0.819
O Ge Cr
3 1 1
direct
0.500 0.500 0.000 O
0.000 0.500 0.500 O
0.500 0.000 0.500 O
0.500 0.500 0.500 Ge
0.000 0.000 0.000 Cr
```

The energy with MP2020 corrections is -7.3712 eV/atom. Its formation energy is -1547 meV per atom. For the spin magnetization, the calculation gives 4.00 μB/f.u. The total energy comes out at -6.56 eV/atom.

---

VASP calculation (PBE+U) on an optimized crystal structure of Li4Mn3Co3Sn2O16.

Structure (POSCAR):
```
Li4Mn3Co3Sn2O16
1.0
2.907 5.102 0.032
-8.785 5.140 0.040
-0.009 0.064 9.689
O Co Li Sn Mn
32 6 8 4 6
direct
0.500 0.168 0.112 O
0.237 0.924 0.105 O
0.249 0.568 0.598 O
0.495 0.987 0.828 O
0.274 0.241 0.330 O
0.010 0.514 0.335 O
0.721 0.242 0.332 O
0.234 0.733 0.339 O
0.005 0.334 0.613 O
0.743 0.773 0.845 O
0.746 0.069 0.593 O
0.999 0.159 0.101 O
0.996 0.485 0.830 O
0.752 0.928 0.102 O
0.491 0.494 0.307 O
0.493 0.660 0.100 O
0.277 0.764 0.836 O
0.737 0.420 0.104 O
0.498 0.018 0.329 O
0.233 0.076 0.598 O
0.505 0.833 0.612 O
0.997 0.008 0.307 O
0.498 0.499 0.807 O
0.262 0.422 0.104 O
0.001 0.839 0.605 O
0.779 0.742 0.338 O
0.735 0.574 0.599 O
0.014 0.663 0.108 O
0.996 0.999 0.806 O
0.244 0.272 0.846 O
0.778 0.262 0.838 O
0.500 0.339 0.606 O
0.753 0.583 0.214 Co
0.254 0.088 0.214 Co
0.254 0.915 0.714 Co
0.496 0.329 0.215 Co
0.755 0.414 0.715 Co
0.000 0.832 0.215 Co
0.000 0.332 0.392 Li
0.499 0.496 0.493 Li
0.002 0.999 0.994 Li
0.000 0.997 0.493 Li
0.499 0.833 0.394 Li
0.502 0.497 0.995 Li
0.507 0.171 0.899 Li
0.008 0.671 0.898 Li
0.496 0.837 0.992 Sn
0.998 0.662 0.492 Sn
0.000 0.335 0.993 Sn
0.492 0.165 0.489 Sn
0.001 0.168 0.714 Mn
0.745 0.916 0.715 Mn
0.246 0.583 0.216 Mn
0.503 0.668 0.715 Mn
0.743 0.088 0.214 Mn
0.246 0.415 0.717 Mn
```

The energy with MP2020 corrections is -7.0337 eV/atom. Its formation energy is -1904 meV per atom. For the spin magnetization, the calculation gives 10.00 μB/f.u. The excess energy over the best structure of this formula in the dataset is 0 meV per atom. The total energy comes out at -6.29 eV/atom.

---

VASP calculation (PBE+U) on an optimized crystal structure of Lu2W3O12.

Structure (POSCAR):
```
Lu2W3O12
1.0
5.680 3.820 0.000
-5.680 3.820 0.000
0.000 3.762 10.618
W O Lu
6 24 4
direct
0.540 0.756 0.950 W
0.132 0.868 0.750 W
0.460 0.244 0.050 W
0.868 0.132 0.250 W
0.756 0.540 0.450 W
0.244 0.460 0.550 W
0.132 0.210 0.281 O
0.093 0.452 0.705 O
0.327 0.768 0.063 O
0.232 0.673 0.437 O
0.078 0.178 0.538 O
0.768 0.327 0.563 O
0.548 0.907 0.795 O
0.922 0.822 0.462 O
0.394 0.471 0.924 O
0.868 0.790 0.719 O
0.343 0.923 0.604 O
0.529 0.606 0.576 O
0.923 0.343 0.104 O
0.790 0.868 0.219 O
0.822 0.922 0.962 O
0.606 0.529 0.076 O
0.452 0.093 0.205 O
0.907 0.548 0.295 O
0.657 0.077 0.396 O
0.673 0.232 0.937 O
0.471 0.394 0.424 O
0.178 0.078 0.038 O
0.077 0.657 0.896 O
0.210 0.132 0.781 O
0.713 0.957 0.592 Lu
0.043 0.287 0.908 Lu
0.287 0.043 0.408 Lu
0.957 0.713 0.092 Lu
```

The energy with MP2020 corrections is -9.0525 eV/atom. Its formation energy is -2741 meV per atom. For the spin magnetization, the calculation gives 0.00 μB/f.u. The excess energy over the best structure of this formula in the dataset is 46 meV per atom. The total energy comes out at -7.78 eV/atom.

---

VASP calculation (PBE+U) on an optimized crystal structure of TlW2Cl6O2.

Structure (POSCAR):
```
TlW2Cl6O2
1.0
3.940 -1.439 5.600
5.021 -3.946 2.859
9.982 5.557 -1.144
O Cl W Tl
2 6 2 1
direct
0.497 0.497 0.158 O
0.503 0.503 0.842 O
0.868 0.868 0.043 Cl
0.857 0.857 0.358 Cl
0.143 0.143 0.642 Cl
0.132 0.132 0.957 Cl
0.872 0.872 0.734 Cl
0.128 0.128 0.266 Cl
0.005 0.005 0.835 W
0.995 0.995 0.165 W
0.500 0.500 0.500 Tl
```

The energy with MP2020 corrections is -5.6402 eV/atom. Its formation energy is -1161 meV per atom. For the spin magnetization, the calculation gives 3.00 μB/f.u. The total energy comes out at -4.71 eV/atom.

---

VASP calculation (PBE+U) on an optimized crystal structure of CaPrNi2O6.

Structure (POSCAR):
```
CaPrNi2O6
1.0
5.420 0.000 0.000
0.000 5.426 0.000
0.000 0.000 7.602
Pr Ca O Ni
2 2 12 4
direct
0.008 0.712 0.000 Pr
0.508 0.288 0.500 Pr
0.491 0.205 0.000 Ca
0.991 0.795 0.500 Ca
0.922 0.262 0.000 O
0.571 0.765 0.000 O
0.218 0.968 0.787 O
0.286 0.465 0.208 O
0.422 0.738 0.500 O
0.718 0.032 0.713 O
0.786 0.535 0.292 O
0.071 0.235 0.500 O
0.218 0.968 0.213 O
0.718 0.032 0.287 O
0.786 0.535 0.708 O
0.286 0.465 0.792 O
0.500 0.751 0.250 Ni
0.000 0.249 0.750 Ni
0.500 0.751 0.750 Ni
0.000 0.249 0.250 Ni
```

The energy with MP2020 corrections is -6.9017 eV/atom. Its formation energy is -2098 meV per atom. For the spin magnetization, the calculation gives 1.00 μB/f.u. The total energy comes out at -5.98 eV/atom.

---

VASP calculation (PBE+U) on an optimized crystal structure of Li4CrTeW2O12.

Structure (POSCAR):
```
Li4CrTeW2O12
1.0
-5.499 -2.930 4.271
5.504 -2.941 4.271
0.605 6.201 4.270
Li O Te Cr W
8 24 2 2 4
direct
0.708 0.297 0.810 Li
0.283 0.217 0.199 Li
0.230 0.276 0.798 Li
0.208 0.799 0.805 Li
0.746 0.743 0.236 Li
0.703 0.294 0.269 Li
0.200 0.792 0.266 Li
0.721 0.782 0.810 Li
0.248 0.571 0.439 O
0.241 0.437 0.046 O
0.427 0.923 0.235 O
0.076 0.258 0.563 O
0.570 0.076 0.759 O
0.945 0.746 0.428 O
0.776 0.081 0.418 O
0.939 0.943 0.735 O
0.449 0.756 0.922 O
0.755 0.546 0.946 O
0.244 0.943 0.575 O
0.939 0.440 0.257 O
0.942 0.256 0.945 O
0.065 0.561 0.746 O
0.757 0.419 0.555 O
0.446 0.429 0.740 O
0.077 0.039 0.258 O
0.743 0.934 0.052 O
0.546 0.242 0.061 O
0.440 0.254 0.427 O
0.556 0.551 0.257 O
0.252 0.052 0.937 O
0.592 0.722 0.573 O
0.057 0.741 0.044 O
0.000 0.501 0.504 Te
0.494 0.012 0.517 Te
0.996 0.001 0.999 Cr
0.495 0.501 0.998 Cr
0.497 0.993 0.007 W
0.997 0.011 0.498 W
0.999 0.496 0.004 W
0.498 0.507 0.503 W
```

The energy with MP2020 corrections is -7.4347 eV/atom. Its formation energy is -2149 meV per atom. For the spin magnetization, the calculation gives 3.00 μB/f.u. The excess energy over the best structure of this formula in the dataset is 6 meV per atom. The total energy comes out at -6.48 eV/atom.

---

VASP calculation (PBE+U) on an optimized crystal structure of Cr7FeO12.

Structure (POSCAR):
```
Cr7FeO12
1.0
-8.665 3.321 -3.867
-4.967 -5.173 7.215
0.004 7.382 5.654
O Cr Fe
48 28 4
direct
0.806 0.824 0.610 O
0.298 0.414 0.692 O
0.842 0.147 0.688 O
0.726 0.856 0.161 O
0.838 0.268 0.440 O
0.359 0.698 0.615 O
0.212 0.689 0.168 O
0.632 0.982 0.488 O
0.114 0.133 0.361 O
0.809 0.549 0.806 O
0.251 0.633 0.868 O
0.276 0.891 0.785 O
0.491 0.892 0.932 O
0.903 0.567 0.302 O
0.998 0.823 0.160 O
0.456 0.285 0.940 O
0.301 0.161 0.689 O
0.648 0.691 0.457 O
0.879 0.012 0.372 O
0.573 0.132 0.748 O
0.087 0.735 0.653 O
0.965 0.335 0.201 O
0.498 0.232 0.498 O
0.699 0.344 0.242 O
0.239 0.402 0.142 O
0.068 0.990 0.611 O
0.747 0.996 0.905 O
0.921 0.089 0.105 O
0.344 0.997 0.458 O
0.988 0.320 0.836 O
0.653 0.515 0.060 O
0.627 0.415 0.651 O
0.885 0.761 0.903 O
0.147 0.546 0.418 O
0.378 0.196 0.272 O
0.868 0.489 0.571 O
0.475 0.474 0.393 O
0.592 0.686 0.785 O
0.633 0.123 0.168 O
0.089 0.293 0.551 O
0.184 0.216 0.950 O
0.485 0.926 0.225 O
0.224 0.995 0.118 O
0.144 0.846 0.376 O
0.391 0.698 0.331 O
0.759 0.291 0.937 O
0.012 0.983 0.884 O
0.985 0.530 0.025 O
0.295 0.540 0.271 Cr
0.279 0.178 0.460 Cr
0.605 0.961 0.071 Cr
0.961 0.859 0.727 Cr
0.213 0.870 0.573 Cr
0.464 0.289 0.707 Cr
0.751 0.860 0.402 Cr
0.508 0.073 0.353 Cr
0.306 0.856 0.252 Cr
0.482 0.630 0.477 Cr
0.809 0.372 0.741 Cr
0.971 0.133 0.516 Cr
0.732 0.622 0.636 Cr
0.834 0.469 0.146 Cr
0.409 0.742 0.821 Cr
0.054 0.688 0.302 Cr
0.880 0.145 0.897 Cr
0.608 0.320 0.060 Cr
0.702 0.011 0.681 Cr
0.193 0.024 0.918 Cr
0.877 0.905 0.031 Cr
0.206 0.583 0.675 Cr
0.635 0.362 0.445 Cr
0.077 0.370 0.029 Cr
0.325 0.242 0.088 Cr
0.160 0.284 0.741 Cr
0.980 0.420 0.422 Cr
0.718 0.650 0.936 Cr
0.823 0.185 0.251 Fe
0.425 0.016 0.773 Fe
0.086 0.696 0.988 Fe
0.055 0.994 0.249 Fe
```

The energy with MP2020 corrections is -8.6742 eV/atom. Its formation energy is -1903 meV per atom. For the spin magnetization, the calculation gives 25.00 μB/f.u. The excess energy over the best structure of this formula in the dataset is 0 meV per atom. The total energy comes out at -7.45 eV/atom.

---

VASP calculation (PBE+U) on an optimized crystal structure of MgFe4H4O8.

Structure (POSCAR):
```
MgFe4H4O8
1.0
-6.785 5.311 1.500
6.785 -5.311 1.500
5.813 4.471 -1.500
Fe O H Mg
4 8 4 1
direct
0.783 0.589 0.372 Fe
0.367 0.816 0.183 Fe
0.633 0.184 0.817 Fe
0.217 0.411 0.628 Fe
0.581 0.832 0.413 O
0.152 0.789 0.941 O
0.848 0.211 0.059 O
0.846 0.430 0.276 O
0.419 0.168 0.587 O
0.135 0.061 0.197 O
0.154 0.570 0.724 O
0.865 0.939 0.803 O
0.745 0.404 0.149 H
0.588 0.756 0.344 H
0.412 0.244 0.656 H
0.255 0.596 0.851 H
0.500 0.500 0.000 Mg
```

The energy with MP2020 corrections is -6.6801 eV/atom. Its formation energy is -1466 meV per atom. For the spin magnetization, the calculation gives 18.00 μB/f.u. The excess energy over the best structure of this formula in the dataset is 113 meV per atom. The total energy comes out at -5.83 eV/atom.

---

VASP calculation (PBE+U) on an optimized crystal structure of Ba3LaZnReWO12.

Structure (POSCAR):
```
Ba3LaZnReWO12
1.0
9.401 -2.870 0.000
9.401 2.870 0.000
8.525 0.000 4.893
O Re Zn W Ba La
12 1 1 1 3 1
direct
0.785 0.290 0.785 O
0.869 0.379 0.379 O
0.140 0.616 0.616 O
0.379 0.379 0.869 O
0.616 0.616 0.140 O
0.693 0.222 0.222 O
0.222 0.222 0.693 O
0.290 0.785 0.785 O
0.616 0.140 0.616 O
0.785 0.785 0.290 O
0.379 0.869 0.379 O
0.222 0.693 0.222 O
0.422 0.422 0.422 Re
0.999 0.999 0.999 Zn
0.578 0.578 0.578 W
0.708 0.708 0.708 Ba
0.291 0.291 0.291 Ba
0.131 0.131 0.131 Ba
0.873 0.873 0.873 La
```

The energy with MP2020 corrections is -7.8285 eV/atom. Its formation energy is -2737 meV per atom. For the spin magnetization, the calculation gives 0.00 μB/f.u. The total energy comes out at -7.16 eV/atom.

---

VASP calculation (PBE+U) on an optimized crystal structure of Li3NiPCO7.

Structure (POSCAR):
```
Li3NiPCO7
1.0
-0.212 -4.324 4.712
7.441 2.594 2.785
-3.773 6.835 6.136
Li O P C Ni
12 28 4 4 4
direct
0.749 0.091 0.377 Li
0.489 0.725 0.364 Li
0.528 0.281 0.127 Li
0.522 0.278 0.619 Li
0.252 0.902 0.613 Li
0.750 0.105 0.889 Li
0.978 0.278 0.619 Li
0.973 0.280 0.127 Li
0.010 0.725 0.366 Li
0.256 0.900 0.120 Li
0.745 0.657 0.118 Li
0.498 0.725 0.891 Li
0.440 0.689 0.088 O
0.250 0.074 0.976 O
0.252 0.416 0.083 O
0.753 0.850 0.244 O
0.939 0.306 0.907 O
0.763 0.838 0.745 O
0.231 0.567 0.800 O
0.250 0.419 0.589 O
0.760 0.926 0.020 O
0.937 0.308 0.416 O
0.233 0.889 0.821 O
0.060 0.688 0.084 O
0.249 0.157 0.257 O
0.757 0.582 0.912 O
0.250 0.892 0.322 O
0.748 0.923 0.527 O
0.255 0.152 0.757 O
0.436 0.692 0.595 O
0.561 0.308 0.415 O
0.748 0.582 0.413 O
0.245 0.562 0.294 O
0.749 0.111 0.174 O
0.752 0.104 0.685 O
0.750 0.432 0.205 O
0.563 0.316 0.909 O
0.752 0.436 0.698 O
0.061 0.694 0.585 O
0.250 0.078 0.476 O
0.246 0.588 0.640 P
0.252 0.585 0.136 P
0.749 0.412 0.361 P
0.754 0.415 0.856 P
0.245 0.039 0.853 C
0.755 0.961 0.145 C
0.250 0.040 0.352 C
0.756 0.959 0.651 C
0.249 0.334 0.396 Ni
0.749 0.666 0.600 Ni
0.250 0.332 0.898 Ni
0.002 0.731 0.885 Ni
```

The energy with MP2020 corrections is -6.9531 eV/atom. Its formation energy is -2277 meV per atom. For the spin magnetization, the calculation gives 2.00 μB/f.u. The excess energy over the best structure of this formula in the dataset is 16 meV per atom. The total energy comes out at -6.39 eV/atom.